w) Computed, not measured: a relaxed structure of Bi2B2O7 at the GGA-PBE level of DFT.

Results
- mass density (g cm⁻³) = 5.438
- calculated volume (Å³ per cell) = 337

Geometry as CIF:
```
data_Bi2B2O7
_chemical_formula_sum 'Bi4 B4 O14'
_cell_length_a 5.2315
_cell_length_b 8.3380
_cell_length_c 8.6007
_cell_angle_alpha 115.17
_cell_angle_beta 93.01
_cell_angle_gamma 94.65
_symmetry_space_group_name_H-M 'P -1'
_symmetry_Int_Tables_number 2
_symmetry_space_group_name_Hall '-P 1'
loop_
_atom_site_label
_atom_site_fract_x
_atom_site_fract_y
_atom_site_fract_z
Bi1 0.1361 0.2043 0.4481
Bi2 0.2777 0.5241 0.1689
B1 0.1526 0.2527 0.8456
B2 0.3582 0.6208 0.6479
O1 0.0294 0.6784 0.0383
O2 0.0679 0.9697 0.9399
O3 0.0847 0.1356 0.6760
O4 0.2394 0.4744 0.6672
O5 0.2445 0.7152 0.5687
O6 0.3825 0.3291 0.2917
O7 0.4052 0.3231 0.9200
```

x) Computed, not measured: a relaxed structure of Bi2B2O7 at the GGA-PBE level of DFT.

Results
- mass density (g cm⁻³) = 6.674
- calculated volume (Å³ per cell) = 274

Geometry as CIF:
```
data_Bi2B2O7
_chemical_formula_sum 'Bi4 B4 O14'
_cell_length_a 5.7579
_cell_length_b 6.4830
_cell_length_c 8.3148
_cell_angle_alpha 71.48
_cell_angle_beta 74.11
_cell_angle_gamma 71.96
_symmetry_space_group_name_H-M 'P -1'
_symmetry_Int_Tables_number 2
_symmetry_space_group_name_Hall '-P 1'
loop_
_atom_site_label
_atom_site_fract_x
_atom_site_fract_y
_atom_site_fract_z
Bi1 0.1824 0.2708 0.1380
Bi2 0.2864 0.0376 0.6797
B1 0.2376 0.7609 0.0971
B2 0.3900 0.4863 0.7176
O1 0.0658 0.6580 0.0685
O2 0.1066 0.9054 0.2216
O3 0.2263 0.7036 0.6962
O4 0.3153 0.1117 0.4035
O5 0.3467 0.3611 0.6277
O6 0.3662 0.9045 0.9374
O7 0.4494 0.5776 0.1696
```

y) Computed, not measured: a relaxed structure of Bi2B2O7 at the GGA-PBE level of DFT.

Results
- mass density (g cm⁻³) = 6.859
- calculated volume (Å³ per cell) = 267

Geometry as CIF:
```
data_Bi2B2O7
_chemical_formula_sum 'Bi4 B4 O14'
_cell_length_a 5.4317
_cell_length_b 6.5860
_cell_length_c 8.0111
_cell_angle_alpha 71.48
_cell_angle_beta 86.78
_cell_angle_gamma 79.36
_symmetry_space_group_name_H-M 'P -1'
_symmetry_Int_Tables_number 2
_symmetry_space_group_name_Hall '-P 1'
loop_
_atom_site_label
_atom_site_fract_x
_atom_site_fract_y
_atom_site_fract_z
Bi1 0.1861 0.0943 0.1413
Bi2 0.2747 0.3086 0.6048
B1 0.2018 0.8264 0.5791
B2 0.3516 0.6517 0.1637
O1 0.0529 0.6688 0.6070
O2 0.0933 0.7763 0.1338
O3 0.1928 0.9319 0.7046
O4 0.3369 0.8989 0.4247
O5 0.3814 0.5112 0.0350
O6 0.4200 0.4987 0.3356
O7 0.4756 0.1924 0.8799
```

Of them, y) has the lowest stability.

w) Computed, not measured: a relaxed structure of Bi2B2O7 at the GGA-PBE level of DFT.

Results
- mass density (g cm⁻³) = 6.105
- calculated volume (Å³ per cell) = 300

Geometry as CIF:
```
data_Bi2B2O7
_chemical_formula_sum 'Bi4 B4 O14'
_cell_length_a 6.5325
_cell_length_b 6.5837
_cell_length_c 8.0604
_cell_angle_alpha 110.17
_cell_angle_beta 110.87
_cell_angle_gamma 91.09
_symmetry_space_group_name_H-M 'P -1'
_symmetry_Int_Tables_number 2
_symmetry_space_group_name_Hall '-P 1'
loop_
_atom_site_label
_atom_site_fract_x
_atom_site_fract_y
_atom_site_fract_z
Bi1 0.2074 0.3553 0.2125
Bi2 0.2562 0.2185 0.6353
B1 0.1790 0.6627 0.6278
B2 0.1918 0.8442 0.2336
O1 0.0286 0.2218 0.8846
O2 0.1143 0.6125 0.7580
O3 0.1142 0.8255 0.5586
O4 0.2797 0.0656 0.3507
O5 0.3153 0.5209 0.5627
O6 0.3395 0.6944 0.2408
O7 0.4981 0.9769 0.0682
```

x) Computed, not measured: a relaxed structure of Bi2B2O7 at the GGA-PBE level of DFT.

Results
- mass density (g cm⁻³) = 6.012
- calculated volume (Å³ per cell) = 305

Geometry as CIF:
```
data_Bi2B2O7
_chemical_formula_sum 'Bi4 B4 O14'
_cell_length_a 6.3915
_cell_length_b 6.6024
_cell_length_c 7.4319
_cell_angle_alpha 79.56
_cell_angle_beta 81.17
_cell_angle_gamma 87.41
_symmetry_space_group_name_H-M 'P -1'
_symmetry_Int_Tables_number 2
_symmetry_space_group_name_Hall '-P 1'
loop_
_atom_site_label
_atom_site_fract_x
_atom_site_fract_y
_atom_site_fract_z
Bi1 0.0847 0.2535 0.2629
Bi2 0.3233 0.2238 0.7248
B1 0.1768 0.7164 0.2731
B2 0.3960 0.7385 0.6673
O1 0.0144 0.2176 0.6300
O2 0.1940 0.5639 0.1730
O3 0.2158 0.1796 0.0018
O4 0.2732 0.5660 0.6789
O5 0.2842 0.8904 0.7469
O6 0.3424 0.8348 0.2943
O7 0.3954 0.2421 0.4182
```

Of them, w) has the lowest stability.